1.
Computed, not measured: a relaxed Li4Fe3Sn3Te2O16 crystal at the GGA+U level of DFT.

Structure (POSCAR):
```
Li4Fe3Sn3Te2O16
1.0
1.473 -3.019 -5.303
4.239 -4.630 0.050
-7.311 -6.823 1.725
Li Fe Sn Te O
4 3 3 2 16
direct
0.327 0.327 0.898
0.003 0.003 0.990
0.001 0.001 0.496
0.665 0.665 0.407
0.165 0.165 0.210
0.335 0.828 0.711
0.828 0.335 0.711
0.169 0.660 0.215
0.660 0.169 0.215
0.830 0.830 0.715
0.321 0.321 0.489
0.650 0.650 0.982
0.158 0.690 0.605
0.486 0.486 0.333
0.336 0.336 0.105
0.997 0.997 0.316
0.002 0.002 0.809
0.690 0.158 0.605
0.041 0.482 0.349
0.482 0.041 0.349
0.847 0.847 0.104
0.156 0.156 0.594
0.507 0.961 0.832
0.961 0.507 0.832
0.662 0.662 0.610
0.317 0.825 0.092
0.516 0.516 0.843
0.825 0.317 0.092
```

Calculated values
- Volume: 344.83 Å³ per cell
- Formation enthalpy at 0 K: -1.90 eV per atom
- Space-group type: Cm
- E (MP2020): -6.56 eV per atom

---

2.
Computed, not measured: a relaxed Li4Ti2Fe3Sn3O16 crystal at the GGA+U level of DFT.

Structure (POSCAR):
```
Li4Ti2Fe3Sn3O16
1.0
6.146 0.015 0.028
-3.059 5.300 0.001
0.045 0.027 9.715
Li Ti Fe Sn O
4 2 3 3 16
direct
0.342 0.671 0.892
0.981 0.991 0.988
0.985 0.992 0.500
0.665 0.333 0.399
0.351 0.675 0.501
0.699 0.350 0.983
0.656 0.829 0.218
0.831 0.654 0.715
0.831 0.177 0.716
0.170 0.830 0.214
0.170 0.340 0.214
0.343 0.171 0.713
0.171 0.831 0.593
0.029 0.515 0.341
0.341 0.670 0.098
0.990 0.995 0.313
0.995 0.997 0.802
0.171 0.340 0.593
0.477 0.956 0.346
0.476 0.520 0.347
0.324 0.162 0.095
0.650 0.825 0.592
0.526 0.481 0.847
0.526 0.045 0.847
0.673 0.336 0.602
0.832 0.662 0.093
0.962 0.481 0.853
0.833 0.172 0.093
```

Calculated values
- Volume: 316.91 Å³ per cell
- Formation enthalpy at 0 K: -2.30 eV per atom
- Space-group type: P1
- E (MP2020): -7.30 eV per atom

---

- Among the records above, which one has the highest volume?
  Li4Fe3Sn3Te2O16

---

- formation enthalpy at 0 K of number 2 (Li4Ti2Fe3Sn3O16)?
  -2.30 eV per atom

---

- Number 2 is which compound?
  Li4Ti2Fe3Sn3O16